NaCeMg6O8: optimized geometry, GGA-PBE.

Output
E (MP2020) ... -6.41 eV per atom
Energy of formation ... -4448 kJ/mol of formula units
Polymorph energy (0 for the lowest one) ... 0.0 meV/atom
Calculated total energy ... -97.04 eV/cell

```
NaCeMg6O8
1.0
4.4706 0.0000 0.0000
0.0000 4.4706 0.0000
0.0000 0.0000 9.0530
Na Ce Mg O
1 1 6 8
direct
0.0000 0.0000 0.0000 Na
0.5000 0.5000 0.0000 Ce
0.0000 0.0000 0.5000 Mg
0.0000 0.5000 0.2714 Mg
0.0000 0.5000 0.7286 Mg
0.5000 0.0000 0.2714 Mg
0.5000 0.0000 0.7286 Mg
0.5000 0.5000 0.5000 Mg
0.0000 0.0000 0.2721 O
0.0000 0.0000 0.7279 O
0.0000 0.5000 0.0000 O
0.0000 0.5000 0.5000 O
0.5000 0.0000 0.0000 O
0.5000 0.0000 0.5000 O
0.5000 0.5000 0.2693 O
0.5000 0.5000 0.7307 O
```